1.
CrO2 | PBE+U | optimized geometry

Geometry as POSCAR:
```
CrO2
1.0
6.9236 -1.4874 0.0000
6.9236 1.4874 0.0000
6.6040 0.0000 2.5564
O Cr
2 1
direct
0.3785 0.3785 0.3785 O
0.6215 0.6215 0.6215 O
0.0000 0.0000 0.0000 Cr
```

Computed properties:
**Crystal system**: trigonal
**Raw total energy**: -7.22 eV/atom
**V**: 17.6 Å³ per atom


2.
Li2CrSi4O10 | PBE+U | optimized geometry

Geometry as POSCAR:
```
Li2CrSi4O10
1.0
6.9397 0.0000 0.0000
-3.4095 6.8038 0.0000
-2.0315 -3.0029 9.0039
O Si Li Cr
20 8 4 2
direct
0.2671 0.6193 0.8734 O
0.1476 0.4578 0.1437 O
0.9922 0.7970 0.1941 O
0.0756 0.7812 0.7047 O
0.6590 0.8100 0.7421 O
0.3410 0.1900 0.2579 O
0.5832 0.1289 0.7485 O
0.7868 0.0770 0.9950 O
0.2132 0.9230 0.0050 O
0.5517 0.3541 0.5723 O
0.0078 0.2030 0.8059 O
0.5728 0.6213 0.1772 O
0.4168 0.8711 0.2515 O
0.7329 0.3807 0.1266 O
0.4272 0.3787 0.8228 O
0.4483 0.6459 0.4277 O
0.8819 0.6187 0.4085 O
0.1181 0.3813 0.5915 O
0.9244 0.2188 0.2953 O
0.8524 0.5422 0.8563 O
0.7576 0.0519 0.8157 Si
0.2424 0.9481 0.1843 Si
0.8070 0.6116 0.2384 Si
0.9023 0.2791 0.1462 Si
0.3969 0.6500 0.2591 Si
0.6031 0.3500 0.7409 Si
0.0977 0.7209 0.8538 Si
0.1930 0.3884 0.7616 Si
0.3821 0.2510 0.0519 Li
0.7771 0.3139 0.4288 Li
0.6179 0.7490 0.9481 Li
0.2229 0.6861 0.5712 Li
0.2383 0.2863 0.4290 Cr
0.7617 0.7137 0.5710 Cr
```

Computed properties:
**Crystal system**: triclinic
**Distance to the lowest polymorph of the same formula**: 0 meV/atom
**V**: 12.5 Å³ per atom


3.
HfFeO3 | PBE+U | optimized geometry

Geometry as POSCAR:
```
HfFeO3
1.0
-4.8270 -0.4707 -1.3635
0.2040 -5.2162 1.0785
-2.4906 1.6106 8.2609
Fe Hf O
4 4 12
direct
0.5000 0.5000 0.0000 Fe
0.5000 0.5000 0.5000 Fe
0.0000 0.0000 0.0000 Fe
0.0000 0.0000 0.5000 Fe
0.5445 0.0704 0.7500 Hf
0.4555 0.9296 0.2500 Hf
0.0445 0.4296 0.2500 Hf
0.9555 0.5704 0.7500 Hf
0.3222 0.4058 0.7500 O
0.6949 0.7992 0.8992 O
0.1949 0.7008 0.1008 O
0.3051 0.2008 0.3992 O
0.6778 0.5942 0.2500 O
0.3051 0.2008 0.1008 O
0.8051 0.2992 0.8992 O
0.1778 0.9058 0.7500 O
0.6949 0.7992 0.6008 O
0.1949 0.7008 0.3992 O
0.8222 0.0942 0.2500 O
0.8051 0.2992 0.6008 O
```

Computed properties:
**Crystal system**: orthorhombic
**Raw total energy**: -8.70 eV/atom
**V**: 11.8 Å³ per atom


4.
BaTm2CoO5 | PBE+U | optimized geometry

Geometry as POSCAR:
```
BaTm2CoO5
1.0
5.6986 0.0000 0.0000
0.0000 7.0474 0.0000
0.0000 0.0000 12.2288
Co O Tm Ba
4 20 8 4
direct
0.2500 0.8077 0.1524 Co
0.2500 0.6923 0.6524 Co
0.7500 0.3077 0.3476 Co
0.7500 0.1923 0.8476 Co
0.9982 0.3357 0.9342 O
0.5018 0.1643 0.4342 O
0.4996 0.1374 0.7246 O
0.7500 0.5791 0.3967 O
0.9996 0.8626 0.2754 O
0.5004 0.8626 0.2754 O
0.9982 0.1643 0.4342 O
0.0004 0.1374 0.7246 O
0.0018 0.8357 0.5658 O
0.4996 0.3626 0.2246 O
0.5004 0.6374 0.7754 O
0.0018 0.6643 0.0658 O
0.7500 0.9209 0.8967 O
0.2500 0.0791 0.1033 O
0.9996 0.6374 0.7754 O
0.2500 0.4209 0.6033 O
0.4982 0.6643 0.0658 O
0.0004 0.3626 0.2246 O
0.4982 0.8357 0.5658 O
0.5018 0.3357 0.9342 O
0.7500 0.9018 0.4255 Tm
0.7500 0.6195 0.2085 Tm
0.2500 0.0982 0.5745 Tm
0.2500 0.1195 0.2915 Tm
0.2500 0.4018 0.0745 Tm
0.7500 0.8805 0.7085 Tm
0.2500 0.3805 0.7915 Tm
0.7500 0.5982 0.9255 Tm
0.2500 0.9208 0.8994 Ba
0.7500 0.4208 0.6006 Ba
0.7500 0.0792 0.1006 Ba
0.2500 0.5792 0.3994 Ba
```

Computed properties:
**Crystal system**: orthorhombic
**Raw total energy**: -7.31 eV/atom
**V**: 13.6 Å³ per atom


5.
U3W2O17F2 | PBE+U | optimized geometry

Geometry as POSCAR:
```
U3W2O17F2
1.0
8.5787 6.9246 0.0000
-8.5787 6.9246 0.0000
0.0000 5.7636 8.2159
O U F W
34 6 4 4
direct
0.6320 0.1248 0.6363 O
0.6920 0.3988 0.6453 O
0.3080 0.6012 0.3547 O
0.8430 0.8430 0.9269 O
0.0962 0.8058 0.3391 O
0.1227 0.4075 0.1467 O
0.1570 0.1570 0.0731 O
0.6156 0.6156 0.2638 O
0.8647 0.3749 0.8214 O
0.1101 0.3690 0.8448 O
0.6012 0.3080 0.3547 O
0.9038 0.1942 0.6609 O
0.5925 0.8773 0.8533 O
0.4075 0.1227 0.1467 O
0.6081 0.1103 0.9112 O
0.3749 0.8647 0.8214 O
0.8773 0.5925 0.8533 O
0.3680 0.8752 0.3637 O
0.1942 0.9038 0.6609 O
0.6310 0.8899 0.1552 O
0.3919 0.8897 0.0888 O
0.6251 0.1353 0.1786 O
0.8752 0.3680 0.3637 O
0.3988 0.6920 0.6453 O
0.8058 0.0962 0.3391 O
0.3690 0.1101 0.8448 O
0.8046 0.8046 0.3129 O
0.8899 0.6310 0.1552 O
0.1353 0.6251 0.1786 O
0.3844 0.3844 0.7362 O
0.1248 0.6320 0.6363 O
0.8897 0.3919 0.0888 O
0.1103 0.6081 0.9112 O
0.1954 0.1954 0.6871 O
0.8003 0.2987 0.6534 U
0.7013 0.1997 0.3466 U
0.1708 0.1708 0.8839 U
0.8292 0.8292 0.1161 U
0.2987 0.8003 0.6534 U
0.1997 0.7013 0.3466 U
0.0000 0.5000 0.5000 F
0.0748 0.9252 0.0000 F
0.5000 0.0000 0.5000 F
0.9252 0.0748 0.0000 F
0.9969 0.5267 0.1519 W
0.4733 0.0031 0.8481 W
0.0031 0.4733 0.8481 W
0.5267 0.9969 0.1519 W
```

Computed properties:
**Crystal system**: monoclinic
**Raw total energy**: -7.69 eV/atom
**V**: 20.3 Å³ per atom


6.
LiNi5P8O28 | PBE+U | optimized geometry

Geometry as POSCAR:
```
LiNi5P8O28
1.0
9.2814 0.0000 0.0000
-4.4829 -9.6129 0.0000
-3.6231 0.6324 -12.2741
O P Ni Li
56 16 10 2
direct
0.1607 0.9350 0.5933 O
0.3502 0.5443 0.5560 O
0.6870 0.9541 0.5564 O
0.8713 0.8557 0.2592 O
0.0981 0.5349 0.1215 O
0.1287 0.1443 0.7408 O
0.6919 0.7003 0.6076 O
0.9281 0.6719 0.4676 O
0.2844 0.4026 0.7141 O
0.4744 0.0377 0.6382 O
0.2977 0.8078 0.0304 O
0.3303 0.3176 0.9017 O
0.5256 0.9623 0.3618 O
0.4482 0.7085 0.9044 O
0.9592 0.8481 0.7615 O
0.9293 0.6720 0.9776 O
0.4893 0.2184 0.2727 O
0.4811 0.7139 0.4021 O
0.6551 0.4533 0.9381 O
0.1224 0.5420 0.6304 O
0.9467 0.6791 0.1973 O
0.3130 0.0459 0.4436 O
0.4470 0.0370 0.1323 O
0.9399 0.6428 0.6880 O
0.8393 0.0650 0.4067 O
0.0601 0.3572 0.3120 O
0.5518 0.2915 0.0956 O
0.5618 0.8240 0.2291 O
0.3077 0.0349 0.9328 O
0.1334 0.9139 0.0711 O
0.2976 0.8139 0.5289 O
0.2768 0.7721 0.2505 O
0.7368 0.6091 0.7922 O
0.9019 0.4651 0.8785 O
0.3449 0.5467 0.0619 O
0.5530 0.9630 0.8677 O
0.0533 0.3209 0.8027 O
0.8776 0.4580 0.3696 O
0.6697 0.6824 0.0983 O
0.6498 0.4557 0.4440 O
0.3081 0.2997 0.3924 O
0.4382 0.1760 0.7709 O
0.8666 0.0861 0.9289 O
0.0707 0.3280 0.0224 O
0.0719 0.3281 0.5324 O
0.5107 0.7816 0.7273 O
0.7156 0.5974 0.2858 O
0.2632 0.3909 0.2078 O
0.6923 0.9651 0.0672 O
0.0408 0.1519 0.2385 O
0.7232 0.2279 0.7495 O
0.7024 0.1861 0.4711 O
0.7288 0.1858 0.2353 O
0.2712 0.8142 0.7647 O
0.7023 0.1922 0.9696 O
0.5189 0.2861 0.5979 O
0.1952 0.2896 0.7939 P
0.7947 0.5424 0.3990 P
0.4565 0.8071 0.3092 P
0.1907 0.4560 0.0967 P
0.8048 0.7104 0.2061 P
0.2053 0.4576 0.6010 P
0.5435 0.1929 0.6908 P
0.4408 0.8080 0.8125 P
0.5592 0.1920 0.1875 P
0.2897 0.9513 0.0346 P
0.3051 0.9605 0.5431 P
0.8267 0.7062 0.7074 P
0.8093 0.5440 0.9033 P
0.6949 0.0395 0.4569 P
0.7103 0.0487 0.9654 P
0.1733 0.2938 0.2926 P
0.5061 0.2441 0.9339 Ni
0.5005 0.2413 0.4352 Ni
0.7997 0.0109 0.2384 Ni
0.8943 0.2824 0.3947 Ni
0.4995 0.7587 0.5648 Ni
0.8925 0.2792 0.8869 Ni
0.2003 0.9891 0.7616 Ni
0.1075 0.7208 0.1131 Ni
0.1057 0.7176 0.6053 Ni
0.4939 0.7559 0.0661 Ni
0.5000 0.5000 0.5000 Li
0.5000 0.5000 0.0000 Li
```

Computed properties:
**Crystal system**: triclinic
**Raw total energy**: -6.42 eV/atom
**V**: 13.0 Å³ per atom


no.,theoretical density (Mg/m³)
1,2.649
2,2.642
3,7.956
4,8.306
5,4.735
6,3.021